# SrCu2Ge2

A relaxed SrCu2Ge2 crystal (meta-GGA r2SCAN, Materials Project).

Properties
* energy: -133.109 eV/cell
* ΔE_f: -394 meV per atom

a = 4.2425 Å, b = 4.2425 Å, c = 10.2334 Å
α = 90.00°, β = 90.00°, γ = 90.00°
Closest atoms and distances in Å follow each position.
Fractional coordinates of all 10 atoms:
Sr 0.0000 0.0000 0.0000  8 Ge 3.27, 8 Cu 3.32
Sr 0.5000 0.5000 0.5000  8 Ge 3.27, 8 Cu 3.32
Cu 0.0000 0.5000 0.2500  4 Ge 2.47
Cu 0.0000 0.5000 0.7500  4 Ge 2.47
Cu 0.5000 0.0000 0.2500  4 Ge 2.47
Cu 0.5000 0.0000 0.7500  4 Ge 2.47
Ge 0.0000 0.0000 0.3730  4 Cu 2.47, 1 Ge 2.60
Ge 0.0000 0.0000 0.6270  4 Cu 2.47, 1 Ge 2.60
Ge 0.5000 0.5000 0.1270  4 Cu 2.47, 1 Ge 2.60
Ge 0.5000 0.5000 0.8730  4 Cu 2.47, 1 Ge 2.60

# BeCr2O4

A relaxed BeCr2O4 crystal (meta-GGA r2SCAN, Materials Project).

Properties
* energy: -306.197 eV/cell
* ΔE_f: -2596 meV per atom

a = 9.8114 Å, b = 5.7084 Å, c = 4.5422 Å
α = 90.00°, β = 90.00°, γ = 90.00°
Closest atoms and distances in Å follow each position.
Fractional coordinates of all 28 atoms:
Be 0.0930 0.2500 0.0693  4 O 1.58-1.67
Be 0.4070 0.7500 0.5693  4 O 1.58-1.67
Be 0.5930 0.2500 0.4307  4 O 1.58-1.67
Be 0.9070 0.7500 0.9307  4 O 1.58-1.67
Cr 0.0000 0.0000 0.5000  6 O 1.97-2.00
Cr 0.0000 0.5000 0.5000  6 O 1.97-2.00
Cr 0.2303 0.7500 0.0026  6 O 1.97-2.05
Cr 0.2697 0.2500 0.5026  6 O 1.97-2.05
Cr 0.5000 0.0000 0.0000  6 O 1.97-2.00
Cr 0.5000 0.5000 0.0000  6 O 1.97-2.00
Cr 0.7303 0.7500 0.4974  6 O 1.97-2.05
Cr 0.7697 0.2500 0.9974  6 O 1.97-2.05
O 0.0604 0.7500 0.7704  1 Be 1.67
O 0.0923 0.2500 0.7225  1 Be 1.58
O 0.1634 0.0231 0.2397  1 Be 1.66
O 0.1634 0.4769 0.2397  1 Be 1.66
O 0.3366 0.5231 0.7397  1 Be 1.66
O 0.3366 0.9769 0.7397  1 Be 1.66
O 0.4077 0.7500 0.2225  1 Be 1.58
O 0.4396 0.2500 0.2704  1 Be 1.67
O 0.5604 0.7500 0.7296  1 Be 1.67
O 0.5923 0.2500 0.7775  1 Be 1.58
O 0.6634 0.0231 0.2603  1 Be 1.66
O 0.6634 0.4769 0.2603  1 Be 1.66
O 0.8366 0.5231 0.7603  1 Be 1.66
O 0.8366 0.9769 0.7603  1 Be 1.66
O 0.9077 0.7500 0.2775  1 Be 1.58
O 0.9396 0.2500 0.2296  1 Be 1.67

# VOF

A relaxed VOF crystal (meta-GGA r2SCAN, Materials Project).

Properties
* energy: -191.839 eV/cell
* ΔE_f: -2928 meV per atom

a = 9.2455 Å, b = 4.6332 Å, c = 4.5979 Å
α = 90.00°, β = 90.00°, γ = 90.00°
Closest atoms and distances in Å follow each position.
Fractional coordinates of all 18 atoms:
V 0.0000 0.2315 0.0000  3 O 1.85-1.92
V 0.1671 0.7223 0.4270  3 O 1.87-1.97, 2 F 2.06-2.07
V 0.3329 0.2777 0.9270  3 O 1.87-1.97, 2 F 2.06-2.07
V 0.5000 0.7685 0.5000  3 O 1.85-1.92
V 0.6671 0.2777 0.9270  3 O 1.87-1.97, 2 F 2.06-2.07
V 0.8329 0.7223 0.4270  3 O 1.87-1.97, 2 F 2.06-2.07
O 0.0000 0.9281 0.2618  3 V 1.85-1.97
O 0.1663 0.4324 0.1447  3 V 1.87-1.97
O 0.3337 0.5676 0.6447  3 V 1.87-1.97
O 0.5000 0.0719 0.7618  3 V 1.85-1.97
O 0.6663 0.5676 0.6447  3 V 1.87-1.97
O 0.8337 0.4324 0.1447  3 V 1.87-1.97
F 0.0000 0.5218 0.6498  3 V 2.07-2.10
F 0.1663 0.0440 0.7467  3 V 2.06-2.12
F 0.3337 0.9560 0.2467  3 V 2.06-2.12
F 0.5000 0.4782 0.1498  3 V 2.07-2.10
F 0.6663 0.9560 0.2467  3 V 2.06-2.12
F 0.8337 0.0440 0.7467  3 V 2.06-2.12

# TiPt3

A relaxed TiPt3 crystal (meta-GGA r2SCAN, Materials Project).

Properties
* energy: -1197.778 eV/cell
* ΔE_f: -928 meV per atom

a = 5.5511 Å, b = 5.5511 Å, c = 15.8569 Å
α = 90.00°, β = 90.00°, γ = 120.00°
Closest atoms and distances in Å follow each position.
Fractional coordinates of all 28 atoms:
Ti 0.0000 0.0000 0.0000  12 Pt 2.78
Ti 0.0000 0.0000 0.2802  12 Pt 2.70-2.85
Ti 0.0000 0.0000 0.7198  12 Pt 2.70-2.85
Ti 0.3333 0.6667 0.1437  12 Pt 2.77-2.79
Ti 0.3333 0.6667 0.5700  12 Pt 2.75-2.78
Ti 0.6667 0.3333 0.4300  12 Pt 2.75-2.78
Ti 0.6667 0.3333 0.8563  12 Pt 2.77-2.79
Pt 0.0000 0.5000 0.0000  8 Pt 2.78, 4 Ti 2.78-2.79
Pt 0.0007 0.5004 0.2867  8 Pt 2.77-2.79, 4 Ti 2.77-2.78
Pt 0.1667 0.3334 0.8570  4 Ti 2.70-2.78, 8 Pt 2.77-2.79
Pt 0.1668 0.3336 0.4290  4 Ti 2.75-2.85, 8 Pt 2.77-2.78
Pt 0.1668 0.8332 0.4290  4 Ti 2.75-2.85, 8 Pt 2.77-2.78
Pt 0.1667 0.8333 0.8570  4 Ti 2.70-2.78, 8 Pt 2.77-2.79
Pt 0.3334 0.1667 0.1430  4 Ti 2.70-2.78, 8 Pt 2.77-2.79
Pt 0.3336 0.1668 0.5710  4 Ti 2.75-2.85, 8 Pt 2.77-2.78
Pt 0.5000 0.0000 0.0000  8 Pt 2.78, 4 Ti 2.78-2.79
Pt 0.5004 0.0007 0.7133  8 Pt 2.77-2.79, 4 Ti 2.77-2.78
Pt 0.5000 0.5000 0.0000  8 Pt 2.78, 4 Ti 2.78-2.79
Pt 0.4996 0.5004 0.2867  8 Pt 2.77-2.79, 4 Ti 2.77-2.78
Pt 0.5004 0.4996 0.7133  8 Pt 2.77-2.79, 4 Ti 2.77-2.78
Pt 0.4996 0.9993 0.2867  8 Pt 2.77-2.79, 4 Ti 2.77-2.78
Pt 0.6664 0.8332 0.4290  4 Ti 2.75-2.85, 8 Pt 2.77-2.78
Pt 0.6666 0.8333 0.8570  4 Ti 2.70-2.78, 8 Pt 2.77-2.79
Pt 0.8333 0.1667 0.1430  4 Ti 2.70-2.78, 8 Pt 2.77-2.79
Pt 0.8332 0.1668 0.5710  4 Ti 2.75-2.85, 8 Pt 2.77-2.78
Pt 0.8332 0.6664 0.5710  4 Ti 2.75-2.85, 8 Pt 2.77-2.78
Pt 0.8333 0.6666 0.1430  4 Ti 2.70-2.78, 8 Pt 2.77-2.79
Pt 0.9993 0.4996 0.7133  8 Pt 2.77-2.79, 4 Ti 2.77-2.78

# Eu2TlSn

A relaxed Eu2TlSn crystal (meta-GGA r2SCAN, Materials Project).

Properties
* energy: -630.240 eV/cell
* ΔE_f: -648 meV per atom

a = 7.9156 Å, b = 7.9156 Å, c = 7.9156 Å
α = 90.00°, β = 90.00°, γ = 90.00°
Closest atoms and distances in Å follow each position.
Fractional coordinates of all 16 atoms:
Eu 0.2500 0.2500 0.2500  4 Tl 3.43, 4 Sn 3.43
Eu 0.2500 0.2500 0.7500  4 Tl 3.43, 4 Sn 3.43
Eu 0.2500 0.7500 0.2500  4 Tl 3.43, 4 Sn 3.43
Eu 0.2500 0.7500 0.7500  4 Tl 3.43, 4 Sn 3.43
Eu 0.7500 0.2500 0.2500  4 Tl 3.43, 4 Sn 3.43
Eu 0.7500 0.2500 0.7500  4 Tl 3.43, 4 Sn 3.43
Eu 0.7500 0.7500 0.2500  4 Tl 3.43, 4 Sn 3.43
Eu 0.7500 0.7500 0.7500  4 Tl 3.43, 4 Sn 3.43
Tl 0.0000 0.0000 0.0000  8 Eu 3.43
Tl 0.0000 0.5000 0.5000  8 Eu 3.43
Tl 0.5000 0.0000 0.5000  8 Eu 3.43
Tl 0.5000 0.5000 0.0000  8 Eu 3.43
Sn 0.0000 0.0000 0.5000  8 Eu 3.43
Sn 0.0000 0.5000 0.0000  8 Eu 3.43
Sn 0.5000 0.0000 0.0000  8 Eu 3.43
Sn 0.5000 0.5000 0.5000  8 Eu 3.43

# WF5

A relaxed WF5 crystal (meta-GGA r2SCAN, Materials Project).

Properties
* energy: -165.097 eV/cell
* ΔE_f: -2592 meV per atom

a = 5.1815 Å, b = 5.1815 Å, c = 7.8733 Å
α = 110.86°, β = 110.86°, γ = 70.90°
Closest atoms and distances in Å follow each position.
Fractional coordinates of all 12 atoms:
W 0.0000 0.0000 0.0000  6 F 1.85-2.00
W 0.0000 0.0000 0.5000  6 F 1.85-2.00
F 0.0616 0.9384 0.7500  2 W 2.00
F 0.1508 0.3242 0.6311  1 W 1.88
F 0.2075 0.6362 0.0109  1 W 1.85
F 0.3242 0.1508 0.1311  1 W 1.88
F 0.3638 0.7925 0.4891  1 W 1.85
F 0.6362 0.2075 0.5109  1 W 1.85
F 0.6758 0.8492 0.8689  1 W 1.88
F 0.7925 0.3638 0.9891  1 W 1.85
F 0.8492 0.6758 0.3689  1 W 1.88
F 0.9384 0.0616 0.2500  2 W 2.00

# Tl2SnCl6

A relaxed Tl2SnCl6 crystal (meta-GGA r2SCAN, Materials Project).

Properties
* energy: -178.487 eV/cell
* ΔE_f: -1163 meV per atom

a = 7.0836 Å, b = 7.0836 Å, c = 7.0836 Å
α = 60.00°, β = 60.00°, γ = 60.00°
Closest atoms and distances in Å follow each position.
Fractional coordinates of all 9 atoms:
Tl 0.2500 0.2500 0.2500  12 Cl 3.54
Tl 0.7500 0.7500 0.7500  12 Cl 3.54
Sn 0.0000 0.0000 0.0000  6 Cl 2.44
Cl 0.2439 0.2439 0.7561  1 Sn 2.44
Cl 0.2439 0.7561 0.2439  1 Sn 2.44
Cl 0.2439 0.7561 0.7561  1 Sn 2.44
Cl 0.7561 0.2439 0.2439  1 Sn 2.44
Cl 0.7561 0.2439 0.7561  1 Sn 2.44
Cl 0.7561 0.7561 0.2439  1 Sn 2.44

# ZnFe

A relaxed ZnFe crystal (meta-GGA r2SCAN, Materials Project).

Properties
* energy: -23.335 eV/cell
* ΔE_f: -5 meV per atom

a = 2.5416 Å, b = 2.5416 Å, c = 3.8702 Å
α = 90.00°, β = 90.00°, γ = 90.00°
Closest atoms and distances in Å follow each position.
Fractional coordinates of all 2 atoms:
Zn 0.0000 0.0000 0.0000  4 Zn 2.54, 8 Fe 2.64
Fe 0.5000 0.5000 0.5000  4 Fe 2.54, 8 Zn 2.64

Q: Which of these has the highest energy?
A: ZnFe